No. 1
This record from the Materials Project describes LiMnC2O6 after structural relaxation. The functional is GGA+U.

a = 4.941 Å, b = 7.915 Å, c = 12.787 Å
α = 90.00°, β = 95.31°, γ = 90.00°
Element x y z (fractional)
Li 0.158 0.000 0.322
Li 0.341 0.500 0.178
Li 0.659 0.000 0.822
Li 0.842 0.500 0.678
Mn 0.126 0.950 0.619
Mn 0.376 0.450 0.881
Mn 0.624 0.950 0.119
Mn 0.874 0.450 0.381
C 0.068 0.713 0.436
C 0.150 0.198 0.807
C 0.351 0.698 0.693
C 0.430 0.213 0.064
C 0.570 0.713 0.936
C 0.649 0.198 0.307
C 0.850 0.698 0.193
C 0.932 0.213 0.564
O 0.025 0.063 0.780
O 0.032 0.347 0.810
O 0.088 0.703 0.664
O 0.167 0.859 0.457
O 0.194 0.187 0.586
O 0.213 0.576 0.432
O 0.286 0.076 0.068
O 0.307 0.689 0.914
O 0.330 0.359 0.043
O 0.413 0.203 0.836
O 0.470 0.847 0.690
O 0.476 0.563 0.720
O 0.524 0.063 0.280
O 0.530 0.347 0.310
O 0.587 0.703 0.164
O 0.670 0.859 0.957
O 0.693 0.189 0.086
O 0.714 0.576 0.932
O 0.787 0.076 0.568
O 0.806 0.687 0.414
O 0.833 0.359 0.543
O 0.912 0.203 0.336
O 0.968 0.847 0.190
O 0.975 0.563 0.220

As for the total energy: -7.284 eV/atom. The calculation puts the total magnetization at 0.000 μB per formula unit. The formation energy from the elements comes out at -1.941 eV/atom. As for the space-group type: No. 4. The calculation puts the theoretical density at 2.4 g cm⁻³. As for the crystal system: monoclinic.

=====

No. 2
This record from the Materials Project describes LiMnC2O6 after structural relaxation. The functional is GGA+U.

a = 7.467 Å, b = 8.033 Å, c = 7.446 Å
α = 110.55°, β = 100.66°, γ = 70.24°
Element x y z (fractional)
C 0.893 0.743 0.625
C 0.630 0.249 0.365
C 0.393 0.743 0.125
C 0.370 0.751 0.635
C 0.107 0.257 0.375
C 0.870 0.751 0.135
C 0.130 0.249 0.865
C 0.607 0.257 0.875
O 0.964 0.262 0.244
O 0.810 0.617 0.563
O 0.443 0.889 0.714
O 0.557 0.111 0.287
O 0.830 0.887 0.560
O 0.929 0.613 0.207
O 0.690 0.383 0.937
O 0.036 0.738 0.755
O 0.251 0.249 0.010
O 0.190 0.384 0.438
O 0.670 0.113 0.940
O 0.330 0.887 0.060
O 0.751 0.249 0.510
O 0.249 0.751 0.490
O 0.570 0.387 0.293
O 0.749 0.751 0.990
O 0.170 0.113 0.439
O 0.071 0.387 0.793
O 0.464 0.262 0.744
O 0.536 0.738 0.255
O 0.057 0.111 0.787
O 0.310 0.617 0.063
O 0.943 0.889 0.213
O 0.429 0.613 0.707
Mn 0.250 0.500 0.750
Mn 0.750 0.500 0.250
Mn 0.500 0.000 0.000
Mn 0.000 0.000 0.500
Li 0.000 0.000 0.000
Li 0.250 0.500 0.250
Li 0.501 0.000 0.500
Li 0.750 0.500 0.750

As for the total energy: -7.324 eV/atom. The calculation puts the total magnetization at 0.000 μB per formula unit. The formation energy from the elements comes out at -1.982 eV/atom. The calculation puts the theoretical density at 3.1 g cm⁻³.

=====

No. 3
This record from the Materials Project describes Li3MnC3O9 after structural relaxation. The functional is GGA+U.

a = 10.149 Å, b = 5.977 Å, c = 5.977 Å
α = 105.17°, β = 90.00°, γ = 90.00°
Element x y z (fractional)
Li 0.000 0.000 0.000
Li 0.250 0.302 0.264
Li 0.250 0.663 0.103
Li 0.500 0.000 0.000
Li 0.750 0.103 0.663
Li 0.750 0.264 0.302
Mn 0.250 0.058 0.636
Mn 0.750 0.636 0.058
C 0.016 0.067 0.460
C 0.250 0.635 0.652
C 0.484 0.067 0.460
C 0.516 0.460 0.067
C 0.750 0.652 0.635
C 0.984 0.460 0.067
O 0.059 0.051 0.666
O 0.106 0.425 0.080
O 0.108 0.063 0.308
O 0.250 0.427 0.668
O 0.250 0.687 0.456
O 0.250 0.814 0.839
O 0.392 0.063 0.308
O 0.394 0.425 0.080
O 0.441 0.051 0.666
O 0.559 0.666 0.051
O 0.606 0.080 0.425
O 0.608 0.308 0.063
O 0.750 0.456 0.687
O 0.750 0.668 0.427
O 0.750 0.839 0.814
O 0.892 0.308 0.063
O 0.894 0.080 0.425
O 0.941 0.666 0.051

As for the total energy: -6.978 eV/atom. The calculation puts the total magnetization at 4.001 μB per formula unit. The formation energy from the elements comes out at -2.025 eV/atom. As for the space-group type: No. 40. The calculation puts the theoretical density at 2.4 g cm⁻³. As for the crystal system: orthorhombic. The value obtained for the largest piezoelectric modulus is 0.58 C/m2.

=====

No. 4
This record from the Materials Project describes LiMnC2O6 after structural relaxation. The functional is GGA+U.

a = 6.505 Å, b = 6.505 Å, c = 8.403 Å
α = 96.89°, β = 96.89°, γ = 130.98°
Element x y z (fractional)
Li 0.117 0.883 0.500
Li 0.883 0.117 0.000
Mn 0.516 0.774 0.351
Mn 0.774 0.516 0.851
C 0.032 0.695 0.140
C 0.492 0.648 0.056
C 0.648 0.492 0.556
C 0.695 0.032 0.640
O 0.120 0.840 0.028
O 0.179 0.791 0.289
O 0.277 0.460 0.107
O 0.441 0.783 0.580
O 0.460 0.277 0.607
O 0.530 0.622 0.913
O 0.622 0.530 0.413
O 0.690 0.896 0.168
O 0.783 0.441 0.080
O 0.791 0.179 0.789
O 0.840 0.120 0.528
O 0.896 0.690 0.668

As for the total energy: -7.267 eV/atom. The calculation puts the total magnetization at 4.000 μB per formula unit. The formation energy from the elements comes out at -1.925 eV/atom. As for the space-group type: No. 9. The calculation puts the theoretical density at 2.4 g cm⁻³. As for the crystal system: monoclinic.

=====

No. 5
This record from the Materials Project describes LiMnCO4 after structural relaxation. The functional is GGA+U.

a = 3.378 Å, b = 9.185 Å, c = 9.613 Å
α = 90.00°, β = 98.25°, γ = 90.00°
Element x y z (fractional)
Li 0.203 0.180 0.412
Li 0.203 0.320 0.912
Li 0.797 0.680 0.088
Li 0.797 0.820 0.588
Mn 0.224 0.564 0.390
Mn 0.224 0.936 0.890
Mn 0.776 0.064 0.110
Mn 0.776 0.436 0.610
C 0.207 0.632 0.842
C 0.207 0.868 0.342
C 0.793 0.132 0.658
C 0.793 0.368 0.158
O 0.187 0.509 0.772
O 0.187 0.991 0.272
O 0.190 0.745 0.271
O 0.190 0.755 0.771
O 0.248 0.632 0.975
O 0.248 0.868 0.475
O 0.271 0.110 0.996
O 0.271 0.390 0.496
O 0.729 0.610 0.504
O 0.729 0.890 0.004
O 0.752 0.132 0.525
O 0.752 0.368 0.025
O 0.810 0.245 0.229
O 0.810 0.255 0.729
O 0.813 0.009 0.728
O 0.813 0.491 0.228

As for the total energy: -7.150 eV/atom. The calculation puts the total magnetization at 0.000 μB per formula unit. The formation energy from the elements comes out at -2.054 eV/atom. As for the space-group type: No. 14. The calculation puts the theoretical density at 3.1 g cm⁻³. As for the crystal system: monoclinic.

=====

No. 6
This record from the Materials Project describes LiMn2C2O8 after structural relaxation. The functional is GGA+U.

a = 6.387 Å, b = 9.303 Å, c = 9.786 Å
α = 90.00°, β = 109.26°, γ = 90.00°
Element x y z (fractional)
Li 0.225 0.102 0.184
Li 0.225 0.398 0.684
Li 0.775 0.602 0.316
Li 0.775 0.898 0.816
Mn 0.092 0.617 0.932
Mn 0.092 0.883 0.432
Mn 0.404 0.123 0.556
Mn 0.404 0.377 0.056
Mn 0.596 0.623 0.944
Mn 0.596 0.877 0.444
Mn 0.908 0.117 0.568
Mn 0.908 0.383 0.068
C 0.065 0.160 0.864
C 0.065 0.340 0.364
C 0.445 0.663 0.633
C 0.445 0.837 0.133
C 0.555 0.163 0.867
C 0.555 0.337 0.367
C 0.935 0.660 0.636
C 0.935 0.840 0.136
O 0.021 0.234 0.743
O 0.021 0.266 0.243
O 0.035 0.030 0.868
O 0.035 0.470 0.368
O 0.140 0.239 0.987
O 0.140 0.261 0.487
O 0.191 0.004 0.602
O 0.191 0.496 0.102
O 0.337 0.000 0.386
O 0.337 0.500 0.886
O 0.396 0.750 0.015
O 0.396 0.750 0.515
O 0.410 0.533 0.618
O 0.410 0.967 0.118
O 0.476 0.230 0.742
O 0.476 0.270 0.242
O 0.524 0.730 0.758
O 0.524 0.770 0.258
O 0.590 0.033 0.882
O 0.590 0.467 0.382
O 0.604 0.250 0.485
O 0.604 0.250 0.985
O 0.663 0.000 0.614
O 0.663 0.500 0.114
O 0.809 0.504 0.898
O 0.809 0.996 0.398
O 0.860 0.739 0.513
O 0.860 0.761 0.013
O 0.965 0.530 0.632
O 0.965 0.970 0.132
O 0.979 0.734 0.757
O 0.979 0.766 0.257

As for the total energy: -7.212 eV/atom. The calculation puts the total magnetization at 7.000 μB per formula unit. The formation energy from the elements comes out at -1.870 eV/atom. As for the space-group type: No. 14. The calculation puts the theoretical density at 3.3 g cm⁻³. As for the crystal system: monoclinic.